Tl2OsCBr2OF3 after structural relaxation. Source: Materials Project, functional PBE-GGA.

a = 12.032 Å, b = 11.525 Å, c = 17.940 Å
α = 51.73°, β = 90.00°, γ = 90.00°
Sites, in units of the cell vectors:
Tl 0.938 0.501 0.370
Tl 0.062 0.499 0.630
Tl 0.836 0.488 0.063
Tl 0.438 0.499 0.130
Tl 0.443 0.987 0.650
Tl 0.664 0.488 0.563
Tl 0.336 0.512 0.437
Tl 0.943 0.013 0.850
Tl 0.156 0.213 0.266
Tl 0.344 0.213 0.766
Tl 0.562 0.501 0.870
Tl 0.844 0.787 0.734
Tl 0.164 0.512 0.937
Tl 0.656 0.787 0.234
Tl 0.557 0.013 0.350
Tl 0.057 0.987 0.150
Os 0.106 0.181 0.612
Os 0.099 0.640 0.096
Os 0.901 0.360 0.904
Os 0.401 0.640 0.596
Os 0.394 0.181 0.112
Os 0.606 0.819 0.888
Os 0.894 0.819 0.388
Os 0.599 0.360 0.404
C 0.674 0.185 0.476
C 0.401 0.152 0.023
C 0.174 0.815 0.024
C 0.326 0.815 0.524
C 0.826 0.185 0.976
C 0.099 0.152 0.523
C 0.599 0.848 0.977
C 0.901 0.848 0.477
Br 0.387 0.912 0.246
Br 0.933 0.759 0.104
Br 0.315 0.575 0.743
Br 0.887 0.088 0.254
Br 0.567 0.759 0.604
Br 0.100 0.812 0.380
Br 0.113 0.912 0.746
Br 0.613 0.088 0.754
Br 0.685 0.425 0.257
Br 0.600 0.188 0.120
Br 0.433 0.241 0.396
Br 0.900 0.188 0.620
Br 0.400 0.812 0.880
Br 0.185 0.575 0.243
Br 0.815 0.425 0.757
Br 0.067 0.241 0.896
O 0.092 0.136 0.465
O 0.280 0.930 0.479
O 0.408 0.136 0.965
O 0.220 0.930 0.979
O 0.908 0.864 0.535
O 0.780 0.070 0.021
O 0.592 0.864 0.035
O 0.720 0.070 0.521
F 0.389 0.218 0.214
F 0.513 0.561 0.323
F 0.893 0.597 0.481
F 0.227 0.196 0.114
F 0.107 0.403 0.519
F 0.773 0.804 0.886
F 0.972 0.342 0.014
F 0.214 0.515 0.093
F 0.286 0.515 0.593
F 0.472 0.658 0.486
F 0.111 0.218 0.714
F 0.028 0.658 0.986
F 0.528 0.342 0.514
F 0.607 0.597 0.981
F 0.487 0.439 0.677
F 0.714 0.485 0.407
F 0.013 0.439 0.177
F 0.786 0.485 0.907
F 0.273 0.196 0.614
F 0.987 0.561 0.823
F 0.727 0.804 0.386
F 0.889 0.782 0.286
F 0.611 0.782 0.786
F 0.393 0.403 0.019

Computed properties:
Crystal system ... monoclinic
DFT formation energy ... -13.9 eV/f.u.
Calculated total energy ... -408.191 eV/cell